Compound: LiSbN2
Source: the Materials Project
Functional: PBE
Structure: optimized geometry

Unit cell a=4.8823 b=4.8823 c=9.1926 alpha=90.00 beta=90.00 gamma=90.00
Last column: nearest neighbours and their distance in Å.
Space group I-42d (No. 122)
Symmetry-distinct sites (fractional):
Li  0.0000  0.0000  0.0000 [4 per cell]  4 N 2.13
Sb  0.0000  0.0000  0.5000 [4 per cell]  4 N 2.02
N  0.2308  0.7500  0.6250 [8 per cell]  2 Sb 2.02, 2 Li 2.13

Results
Total energy after the MP2020 corrections   -5.809 eV/atom
ΔH_f (0 K)   -13 kJ/mol of atoms

Compound: NaSn2P3O12
Source: the Materials Project
Functional: PBE
Structure: optimized geometry

Unit cell a=8.7552 b=8.7552 c=22.5506 alpha=90.00 beta=90.00 gamma=120.00
Last column: nearest neighbours and their distance in Å.
Space group R-3c (No. 167, hexagonal axes)
Symmetry-distinct sites (fractional):
Na  0.0000  0.0000  0.0000 [6 per cell]  6 O 2.48
Sn  0.0000  0.0000  0.1458 [12 per cell]  6 O 2.04-2.07
P  0.0000  0.2928  0.2500 [18 per cell]  4 O 1.54-1.55
O  0.0196  0.2071  0.1931 [36 per cell]  1 P 1.54
O  0.0218  0.1884  0.9144 [36 per cell]  1 P 1.55

Results
Total energy after the MP2020 corrections   -7.250 eV/atom
ΔH_f (0 K)   -244 kJ/mol of atoms
Polymorph energy (0 for the lowest one)   1 meV per atom

Compound: CaTlF3
Source: the Materials Project
Functional: PBE
Structure: optimized geometry

Unit cell a=6.3814 b=6.3773 c=4.5086 alpha=90.00 beta=90.10 gamma=90.00
Last column: nearest neighbours and their distance in Å.
Space group Cm (No. 8)
Symmetry-distinct sites (fractional):
Ca  0.0000  0.0000  0.0000 [2 per cell]  6 F 2.25-2.26
Tl  0.0073  0.5000  0.5065 [2 per cell]  12 F 3.07-3.32
F  0.2485  0.2510  0.9957 [4 per cell]  2 Ca 2.25-2.26
F  0.4876  0.5000  0.4996 [2 per cell]  2 Ca 2.25-2.26

Results
Total energy after the MP2020 corrections   -5.324 eV/atom
ΔH_f (0 K)   -319 kJ/mol of atoms
Polymorph energy (0 for the lowest one)   7 meV per atom

Compound: TmMnGe
Source: the Materials Project
Functional: PBE
Structure: optimized geometry

Unit cell a=6.8086 b=6.8086 c=4.0933 alpha=90.00 beta=90.00 gamma=120.00
Last column: nearest neighbours and their distance in Å.
Space group P-62m (No. 189)
Symmetry-distinct sites (fractional):
Tm  0.0000  0.5824  0.0000 [3 per cell]  5 Ge 2.84-2.89
Mn  0.0000  0.2232  0.5000 [3 per cell]  4 Ge 2.55-2.72, 2 Mn 2.63
Ge  0.0000  0.0000  0.0000 [1 per cell]  6 Mn 2.55, 3 Tm 2.84
Ge  0.3333  0.6667  0.5000 [2 per cell]  3 Mn 2.72, 6 Tm 2.89

Results
ΔH_f (0 K)   -50 kJ/mol of atoms

Compound: LiAgF2
Source: the Materials Project
Functional: PBE
Structure: optimized geometry

Unit cell a=5.2403 b=3.0636 c=6.0928 alpha=90.00 beta=91.12 gamma=90.00
Last column: nearest neighbours and their distance in Å.
Space group C2/m (No. 12)
Symmetry-distinct sites (fractional):
Li  0.0000  0.0000  0.0000 [2 per cell]  6 F 2.06-2.08
Ag  0.0000  0.5000  0.5000 [2 per cell]  2 F 2.16
F  0.1717  0.5000  0.1810 [4 per cell]  3 Li 2.06-2.08, 1 Ag 2.16

Results
Total energy after the MP2020 corrections   -4.311 eV/atom
ΔH_f (0 K)   -209 kJ/mol of atoms
Polymorph energy (0 for the lowest one)   7 meV per atom

Compound: Si
Source: the Materials Project
Functional: PBE
Structure: optimized geometry

Unit cell a=2.6862 b=2.6862 c=20.6131 alpha=90.00 beta=90.00 gamma=120.00
Last column: nearest neighbours and their distance in Å.
Space group R-3m (No. 166, hexagonal axes)
Symmetry-distinct sites (fractional):
Si  0.0000  0.0000  0.0000 [3 per cell]  12 Si 2.69-2.76
Si  0.0000  0.0000  0.2224 [6 per cell]  12 Si 2.69-2.77

Results
ΔH_f (0 K)   50 kJ/mol of atoms
Polymorph energy (0 for the lowest one)   518 meV per atom